## NiTePd (PBE)

Data for a relaxed structure of NiTePd.

Unit cell a=3.8145 b=6.3459 c=8.4261 alpha=90.00 beta=90.00 gamma=90.00
Element x y z (fractional)
Ni  0.7500  0.9894  0.3950
Ni  0.2500  0.4894  0.1050
Ni  0.7500  0.5106  0.8950
Ni  0.2500  0.0106  0.6050
Te  0.7500  0.7399  0.1568
Te  0.2500  0.2601  0.8432
Te  0.7500  0.7601  0.6568
Te  0.2500  0.2399  0.3432
Pd  0.7500  0.3463  0.5857
Pd  0.7500  0.1537  0.0857
Pd  0.2500  0.6537  0.4143
Pd  0.2500  0.8463  0.9143

- SG: Pnma, No. 62
- ΔE_f: -0.2585 eV per atom
- Calculated volume: 204 Å³/cell